Crystalline La3TaCl6O4 at its relaxed geometry. Source: the Materials Project database, functional PBE.

Output
V: 21.0 A^3/atom
Formation energy from the elements: -2972 meV/atom
Crystal system: hexagonal

```
data_La3TaCl6O4
_symmetry_space_group_name_H-M 'P 63/m'
_symmetry_Int_Tables_number 176
_symmetry_space_group_name_Hall '-P 6c'
_cell_length_a 13.0057
_cell_length_b 13.0057
_cell_length_c 4.0154
_cell_angle_alpha 90.00
_cell_angle_beta 90.00
_cell_angle_gamma 120.00
loop_
_atom_site_label
_atom_site_type_symbol
_atom_site_fract_x
_atom_site_fract_y
_atom_site_fract_z
La1 La 0.1160 0.7187 0.2500
Ta1 Ta 0.3333 0.6667 0.7500
Cl1 Cl 0.0703 0.4434 0.2500
Cl2 Cl 0.1057 0.2486 0.7500
O1 O 0.2012 0.6922 0.7500
O2 O 0.3333 0.6667 0.2500
```